1.
Crystalline Lu3Ge3Ru2 at its relaxed geometry. Source: the Materials Project, functional PBE.

```
data_Lu3Ge3Ru2
_cell_length_a 4.233
_cell_length_b 10.631
_cell_length_c 13.734
_cell_angle_alpha 90.00
_cell_angle_beta 90.00
_cell_angle_gamma 90.00
_symmetry_space_group_name_H-M 'C m c m'
_symmetry_Int_Tables_number 63
_symmetry_space_group_name_Hall '-C 2c 2'
loop_
_atom_site_label
_atom_site_type_symbol
_atom_site_fract_x
_atom_site_fract_y
_atom_site_fract_z
Lu1 Lu 0.000 0.077 0.114
Lu2 Lu 0.000 0.354 0.250
Ge1 Ge 0.000 0.340 0.750
Ge2 Ge 0.000 0.386 0.041
Ru1 Ru 0.000 0.212 0.584
```

2.
# Tb5Bi3 PBE relaxed
# energy above the most stable polymorph in this dataset = 0.000 eV per atom
data_Tb5Bi3
_cell_length_a 9.2504
_cell_length_b 9.2504
_cell_length_c 6.3832
_cell_angle_alpha 90.00
_cell_angle_beta 90.00
_cell_angle_gamma 120.00
_symmetry_space_group_name_H-M 'P 63/m c m'
_symmetry_Int_Tables_number 193
_symmetry_space_group_name_Hall '-P 6c 2'
loop_
_atom_site_label
_atom_site_type_symbol
_atom_site_fract_x
_atom_site_fract_y
_atom_site_fract_z
Tb1 Tb 0.0000 0.2445 0.2500
Tb2 Tb 0.3333 0.6667 0.0000
Bi1 Bi 0.0000 0.3874 0.7500

3.
Crystalline BaBi2Br2O2 at its relaxed geometry. Source: the Materials Project, functional PBE.

```
data_BaBi2Br2O2
_cell_length_a 4.048
_cell_length_b 4.048
_cell_length_c 31.800
_cell_angle_alpha 90.00
_cell_angle_beta 90.00
_cell_angle_gamma 90.00
_symmetry_space_group_name_H-M 'I 4 m m'
_symmetry_Int_Tables_number 107
_symmetry_space_group_name_Hall 'I 4 -2'
loop_
_atom_site_label
_atom_site_type_symbol
_atom_site_fract_x
_atom_site_fract_y
_atom_site_fract_z
Ba1 Ba 0.000 0.000 0.000
Bi1 Bi 0.000 0.000 0.402
Bi2 Bi 0.000 0.000 0.823
Br1 Br 0.000 0.000 0.272
Br2 Br 0.000 0.000 0.550
O1 O 0.000 0.500 0.362
```

Asked for ΔE_f across the records above, the calculation gives -782 -706 -1274 meV per atom in order.